Record 1
A relaxed MgMnO2 crystal. Source: Materials Project, functional PBE with a Hubbard U.

**ΔE_f**: -2.503 eV/atom
**Energy**: -110.51 eV/cell
**Calculated volume**: 10.5 Å³/atom

Cell lengths 5.359, 6.165, 5.401 Å; angles 90.00, 70.72, 90.00 degrees
Positions (direct):
O 0.245 0.500 0.265
O 0.755 0.000 0.735
O 0.745 0.750 0.265
O 0.255 0.250 0.735
Mn 0.000 0.998 0.000
Mn 0.500 0.752 0.000
Mn 0.000 0.498 0.000
Mn 0.500 0.252 0.000
Mg 0.500 0.000 0.500
O 0.245 0.000 0.265
Mg 0.000 0.750 0.500
O 0.755 0.500 0.735
O 0.255 0.750 0.735
Mg 0.500 0.500 0.500
O 0.745 0.250 0.265
Mg 0.000 0.250 0.500

Record 2
A relaxed V4CrCuO12 crystal. Source: Materials Project, functional PBE with a Hubbard U.

**ΔE_f**: -2.180 eV/atom
**Energy**: -131.66 eV/cell
**Calculated volume**: 13.9 Å³/atom
**Magnetization**: 3.000 μB per cell

Cell lengths 5.904, 6.736, 6.738 Å; angles 96.26, 75.25, 104.74 degrees
Positions (direct):
O 0.054 0.363 0.625
V 0.253 0.800 0.384
O 0.446 0.625 0.363
O 0.260 0.614 0.923
Cr 0.750 0.081 0.081
O 0.826 0.799 0.038
V 0.737 0.609 0.211
V 0.763 0.211 0.609
V 0.247 0.384 0.800
O 0.240 0.923 0.614
Cu 0.249 0.907 0.906
O 0.781 0.094 0.370
O 0.550 0.368 0.664
O 0.674 0.038 0.799
O 0.719 0.370 0.094
O 0.388 0.967 0.183
O 0.950 0.664 0.368
O 0.112 0.183 0.967